(1)
Entry from the Materials Project: a geometry-optimized Ni3Se2 structure (meta-GGA r2SCAN).

Properties
SG ... R32 (155)
Magnetization ... 0.00 μB per formula unit
Calculated formation energy ... -0.29 eV per atom

Cell lengths 4.2063, 4.2063, 4.2063 Å; angles 90.70, 90.70, 90.70 degrees
Positions (direct):
Se  0.2579  0.2579  0.2579
Ni  0.2468  0.7532  0.0000
Se  0.7421  0.7421  0.7421
Ni  0.0000  0.2468  0.7532
Ni  0.7532  0.0000  0.2468



(2)
Entry from the Materials Project: a geometry-optimized Ta11Ni2Se8 structure (meta-GGA r2SCAN).

Properties
SG ... P2/m (10)
Magnetization ... 0.00 μB per formula unit
Calculated formation energy ... -0.63 eV per atom

Cell lengths 3.4429, 12.0459, 19.5331 Å; angles 90.03, 90.00, 90.00 degrees
Positions (direct):
Ta  0.0000  0.6550  0.7122
Ta  0.0000  0.6787  0.5511
Se  0.0000  0.8901  0.5537
Se  0.5000  0.2935  0.5552
Ta  0.5000  0.8242  0.6445
Se  0.0000  0.4600  0.1754
Se  0.0000  0.1099  0.4463
Ta  0.5000  0.9377  0.8851
Ta  0.5000  0.0623  0.1149
Ni  0.0000  0.9075  0.1290
Ta  0.0000  0.4376  0.6151
Se  0.5000  0.3903  0.9465
Se  0.0000  0.7933  0.9446
Ta  0.0000  0.0526  0.2411
Ta  0.0000  0.3450  0.2878
Ta  0.5000  0.5528  0.2586
Ta  0.0000  0.5624  0.3849
Ta  0.5000  0.1758  0.3555
Se  0.0000  0.7150  0.2854
Se  0.0000  0.2850  0.7146
Ta  0.0000  0.0000  0.0000
Ta  0.0000  0.6756  0.1443
Ta  0.0000  0.9474  0.7588
Ta  0.5000  0.1790  0.9491
Ni  0.5000  0.4077  0.3707
Se  0.5000  0.6098  0.0536
Ta  0.5000  0.8210  0.0509
Ta  0.5000  0.4472  0.7414
Ta  0.0000  0.3244  0.8557
Se  0.5000  0.9601  0.3243
Ta  0.5000  0.1551  0.7881
Se  0.0000  0.5400  0.8246
Ta  0.5000  0.8449  0.2119
Ta  0.0000  0.3212  0.4489
Ta  0.5000  0.5000  0.5000
Ni  0.5000  0.5923  0.6294
Se  0.0000  0.2066  0.0554
Se  0.5000  0.7852  0.7856
Se  0.5000  0.2148  0.2144
Se  0.5000  0.0399  0.6757
Ni  0.0000  0.0925  0.8710
Se  0.5000  0.7065  0.4448



(3)
Entry from the Materials Project: a geometry-optimized NiTeSe structure (meta-GGA r2SCAN).

Properties
SG ... P3m1 (156)
Magnetization ... 0.00 μB per formula unit
Calculated formation energy ... -0.26 eV per atom

Cell lengths 3.7194, 3.7194, 5.1568 Å; angles 90.00, 90.00, 120.00 degrees
Positions (direct):
Se  0.3333  0.6667  0.2378
Te  0.6667  0.3333  0.7493
Ni  0.0000  0.0000  0.0129



(4)
Entry from the Materials Project: a geometry-optimized U8NiSe17 structure (meta-GGA r2SCAN).

Properties
SG ... C2/m (12)
Magnetization ... 2.00 μB per formula unit
Calculated formation energy ... -1.48 eV per atom

Cell lengths 8.2877, 8.2877, 10.9443 Å; angles 80.10, 80.10, 64.19 degrees
Positions (direct):
Se  0.3021  0.3021  0.7533
U  0.6810  0.6810  0.9840
Se  0.0568  0.6765  0.9725
U  0.3022  0.8160  0.2960
Se  0.0542  0.0542  0.7762
Se  0.4332  0.8229  0.5351
Se  0.9458  0.9458  0.2238
U  0.8160  0.3022  0.2960
U  0.3190  0.3190  0.0160
Se  0.8229  0.4332  0.5351
U  0.2025  0.2025  0.5443
U  0.1840  0.6978  0.7040
Se  0.4792  0.4792  0.1711
Se  0.6765  0.0568  0.9725
Se  0.7902  0.7902  0.7216
Se  0.9432  0.3235  0.0275
Se  0.3235  0.9432  0.0275
U  0.7975  0.7975  0.4557
U  0.6978  0.1840  0.7040
Se  0.0000  0.0000  0.5000
Se  0.5668  0.1771  0.4649
Se  0.5208  0.5208  0.8289
Se  0.6979  0.6979  0.2467
Se  0.2098  0.2098  0.2784
Ni  0.0000  0.0000  0.0000
Se  0.1771  0.5668  0.4649



(5)
Entry from the Materials Project: a geometry-optimized SiNi2 structure (meta-GGA r2SCAN).

Properties
SG ... Pnma (62)
Magnetization ... 0.00 μB per formula unit
Calculated formation energy ... -0.52 eV per atom

Cell lengths 3.6973, 4.9287, 7.0021 Å; angles 90.00, 90.00, 90.00 degrees
Positions (direct):
Ni  0.2500  0.3289  0.0605
Ni  0.7500  0.1711  0.5605
Si  0.7500  0.7092  0.6133
Si  0.7500  0.2092  0.8867
Ni  0.2500  0.9579  0.7928
Si  0.2500  0.2908  0.3867
Si  0.2500  0.7908  0.1133
Ni  0.7500  0.6711  0.9395
Ni  0.7500  0.0421  0.2072
Ni  0.2500  0.4579  0.7072
Ni  0.7500  0.5421  0.2928
Ni  0.2500  0.8289  0.4395



(6)
Entry from the Materials Project: a geometry-optimized SiNi3 structure (meta-GGA r2SCAN).

Properties
SG ... Pm-3m (221)
Magnetization ... 0.00 μB per formula unit
Calculated formation energy ... -0.43 eV per atom

Cell lengths 3.4637, 3.4637, 3.4637 Å; angles 90.00, 90.00, 90.00 degrees
Positions (direct):
Si  0.0000  0.0000  0.0000
Ni  0.0000  0.5000  0.5000
Ni  0.5000  0.5000  0.0000
Ni  0.5000  0.0000  0.5000